{
  "formula": "La12Ga23WO56",
  "functional": "GGA+U",
  "state": "relaxed",
  "cell": [[9.776, 0.000, 0.000], [-0.795, 9.750, 0.000], [-1.929, -2.101, 12.945]],
  "species": ["La", "La", "La", "La", "La", "La", "La", "La", "La", "La", "La", "La", "Ga", "Ga", "Ga", "Ga", "Ga", "Ga", "Ga", "Ga", "Ga", "Ga", "Ga", "Ga", "Ga", "Ga", "Ga", "Ga", "Ga", "Ga", "Ga", "Ga", "Ga", "Ga", "Ga", "W", "O", "O", "O", "O", "O", "O", "O", "O", "O", "O", "O", "O", "O", "O", "O", "O", "O", "O", "O", "O", "O", "O", "O", "O", "O", "O", "O", "O", "O", "O", "O", "O", "O", "O", "O", "O", "O", "O", "O", "O", "O", "O", "O", "O", "O", "O", "O", "O", "O", "O", "O", "O", "O", "O", "O", "O"],
  "frac_coords": [[0.000, 0.000, 0.000], [0.024, 0.605, 0.814], [0.170, 0.331, 0.251], [0.238, 0.254, 0.743], [0.273, 0.854, 0.562], [0.419, 0.581, 0.000], [0.498, 0.499, 0.497], [0.524, 0.105, 0.313], [0.673, 0.819, 0.744], [0.750, 0.751, 0.251], [0.783, 0.364, 0.073], [0.919, 0.079, 0.497], [0.012, 0.931, 0.736], [0.065, 0.645, 0.354], [0.073, 0.652, 0.110], [0.117, 0.362, 0.973], [0.117, 0.462, 0.538], [0.130, 0.949, 0.288], [0.266, 0.178, 0.487], [0.313, 0.896, 0.861], [0.314, 0.895, 0.104], [0.361, 0.613, 0.720], [0.368, 0.711, 0.288], [0.376, 0.199, 0.044], [0.517, 0.431, 0.238], [0.572, 0.152, 0.603], [0.614, 0.859, 0.470], [0.618, 0.955, 0.043], [0.632, 0.455, 0.786], [0.765, 0.676, 0.985], [0.815, 0.395, 0.603], [0.821, 0.401, 0.361], [0.864, 0.111, 0.220], [0.874, 0.213, 0.786], [0.880, 0.697, 0.537], [0.564, 0.145, 0.854], [0.004, 0.506, 0.636], [0.023, 0.274, 0.058], [0.047, 0.315, 0.831], [0.051, 0.090, 0.220], [0.057, 0.715, 0.505], [0.098, 0.458, 0.397], [0.105, 0.021, 0.651], [0.108, 0.833, 0.088], [0.120, 0.554, 0.987], [0.120, 0.558, 0.219], [0.121, 0.852, 0.835], [0.136, 0.027, 0.429], [0.161, 0.285, 0.570], [0.248, 0.046, 0.022], [0.254, 0.757, 0.385], [0.277, 0.520, 0.808], [0.296, 0.565, 0.580], [0.303, 0.336, 0.970], [0.307, 0.965, 0.254], [0.348, 0.709, 0.146], [0.354, 0.267, 0.399], [0.367, 0.080, 0.835], [0.371, 0.807, 0.739], [0.377, 0.103, 0.588], [0.378, 0.811, 0.970], [0.386, 0.279, 0.181], [0.410, 0.534, 0.319], [0.500, 0.297, 0.785], [0.502, 0.013, 0.133], [0.529, 0.775, 0.562], [0.545, 0.814, 0.330], [0.550, 0.591, 0.721], [0.554, 0.218, 0.997], [0.604, 0.968, 0.897], [0.605, 0.514, 0.147], [0.607, 0.336, 0.594], [0.613, 0.060, 0.722], [0.620, 0.052, 0.486], [0.625, 0.351, 0.336], [0.635, 0.524, 0.927], [0.660, 0.780, 0.069], [0.746, 0.549, 0.528], [0.750, 0.248, 0.885], [0.776, 0.023, 0.308], [0.792, 0.065, 0.079], [0.802, 0.840, 0.471], [0.810, 0.461, 0.757], [0.843, 0.206, 0.646], [0.849, 0.767, 0.896], [0.858, 0.582, 0.338], [0.868, 0.304, 0.237], [0.872, 0.308, 0.470], [0.876, 0.600, 0.085], [0.884, 0.777, 0.678], [0.907, 0.035, 0.819], [0.997, 0.799, 0.278]],
  "formation_enthalpy_0k_mev_per_atom": -2815,
  "spacegroup": "P1, No. 1"
}